Record 1
The following is a DFT calculation (meta-GGA r2SCAN) of a relaxed PuP crystal.

Structure (POSCAR):
```
PuP
1.0
-2.8427 0.3645 2.8373
1.0356 0.9374 3.7833
-0.9018 3.6351 1.4956
Pu P
1 1
Direct
0.0000 0.0000 0.0000
0.5000 0.5000 0.5000
```

Final energy, eV/atom: -49.22
Space group: Fm-3m, No. 225
M_tot, μB/cell: 4.98

---

Record 2
The following is a DFT calculation (meta-GGA r2SCAN) of a relaxed Ga2Te3 crystal.

Structure (POSCAR):
```
Ga2Te3
1.0
-5.9381 -4.5132 4.0402
-7.0882 -8.3938 -6.3261
-1.8029 -6.9291 -1.4121
Te Ga
6 4
Direct
0.5126 0.6894 0.9508
0.4816 0.3367 0.0002
0.0131 0.6437 0.0190
0.0082 0.3198 0.0340
0.5086 0.0137 0.9936
0.9818 0.9968 0.0102
0.1224 0.9924 0.2458
0.6218 0.3406 0.2240
0.6251 0.6689 0.2578
0.1248 0.6646 0.2644
```

Final energy, eV/atom: -20.23
Space group: Cc, No. 9
M_tot, μB/cell: 0.00

---

Record 3
The following is a DFT calculation (meta-GGA r2SCAN) of a relaxed Ni3B crystal.

Structure (POSCAR):
```
Ni3B
1.0
4.3386 0.0000 0.0000
0.0000 5.1501 0.0000
0.0000 0.0000 6.5482
Ni B
12 4
Direct
0.3459 0.1804 0.0622
0.3682 0.4718 0.7500
0.8682 0.0282 0.2500
0.8459 0.3196 0.9378
0.6541 0.8196 0.5622
0.8459 0.3196 0.5622
0.1541 0.6804 0.4378
0.6318 0.5282 0.2500
0.3459 0.1804 0.4378
0.1541 0.6804 0.0622
0.1318 0.9718 0.7500
0.6541 0.8196 0.9378
0.5619 0.1176 0.7500
0.4381 0.8824 0.2500
0.9381 0.6176 0.7500
0.0619 0.3824 0.2500
```

Final energy, eV/atom: -11.06
Space group: Pnma, No. 62
M_tot, μB/cell: 0.00

---

Record 4
The following is a DFT calculation (meta-GGA r2SCAN) of a relaxed Rb2TiCl6 crystal.

Structure (POSCAR):
```
Rb2TiCl6
1.0
6.1194 0.0000 3.5330
2.0398 5.7694 3.5330
0.0000 0.0000 7.0660
Cl Rb Ti
6 2 1
Direct
0.2353 0.2353 0.7647
0.2353 0.7647 0.2353
0.7647 0.2353 0.7647
0.7647 0.7647 0.2353
0.7647 0.2353 0.2353
0.2353 0.7647 0.7647
0.7500 0.7500 0.7500
0.2500 0.2500 0.2500
0.0000 0.0000 0.0000
```

Final energy, eV/atom: -10.66
Space group: Fm-3m, No. 225
M_tot, μB/cell: 0.00

---

Record 5
The following is a DFT calculation (meta-GGA r2SCAN) of a relaxed MgRh3 crystal.

Structure (POSCAR):
```
MgRh3
1.0
-2.2587 0.7823 -1.3739
1.0958 4.6387 -1.9267
2.4851 0.1453 -4.0029
Rh Mg
3 1
Direct
0.9960 0.0079 0.0015
0.5040 0.9921 0.5094
0.2500 0.5000 0.5715
0.7500 0.5000 0.0842
```

Final energy, eV/atom: -19.41
Space group: Imm2, No. 44
M_tot, μB/cell: 0.00

---

Record 6
The following is a DFT calculation (meta-GGA r2SCAN) of a relaxed Y4CdNi crystal.

Structure (POSCAR):
```
Y4CdNi
1.0
-2.7601 -8.8556 2.3804
-8.4316 -3.3681 -3.0445
-0.2868 -6.8779 -6.6574
Y Cd Ni
16 4 4
Direct
0.4393 0.4393 0.0607
0.0607 0.4393 0.4393
0.8132 0.1868 0.8132
0.8132 0.1868 0.1868
0.0607 0.4393 0.0607
0.4393 0.0607 0.0607
0.0607 0.0607 0.4393
0.2026 0.5991 0.5991
0.1868 0.1868 0.8132
0.1868 0.8132 0.8132
0.1868 0.8132 0.1868
0.4393 0.0607 0.4393
0.5991 0.5991 0.2026
0.8132 0.8132 0.1868
0.5991 0.2026 0.5991
0.5991 0.5991 0.5991
0.8305 0.8305 0.5085
0.8305 0.5085 0.8305
0.5085 0.8305 0.8305
0.8305 0.8305 0.8305
0.8224 0.3925 0.3925
0.3925 0.3925 0.3925
0.3925 0.8224 0.3925
0.3925 0.3925 0.8224
```

Final energy, eV/atom: -19.18
Space group: F-43m, No. 216
M_tot, μB/cell: 0.00

---

Record 7
The following is a DFT calculation (meta-GGA r2SCAN) of a relaxed LuInNi4 crystal.

Structure (POSCAR):
```
LuInNi4
1.0
-2.8186 -3.9956 -0.1148
-3.7511 -0.4365 3.1081
-4.5933 0.2944 -1.6542
Ni In Lu
4 1 1
Direct
0.6258 0.6258 0.1227
0.1227 0.6258 0.6258
0.6258 0.1227 0.6258
0.6258 0.6258 0.6258
0.0000 0.0000 0.0000
0.2500 0.2500 0.2500
```

Final energy, eV/atom: -18.51
Space group: F-43m, No. 216
M_tot, μB/cell: 0.00

---

Record 8
The following is a DFT calculation (meta-GGA r2SCAN) of a relaxed K3NbS4 crystal.

Structure (POSCAR):
```
K3NbS4
1.0
-2.5863 0.4110 -8.9378
-1.9399 -9.3081 0.1333
-10.0967 2.1475 3.0204
S Nb K
16 4 12
Direct
0.3115 0.2516 0.7500
0.3345 0.4481 0.0743
0.1656 0.9481 0.9257
0.8115 0.2484 0.7500
0.0098 0.5888 0.7500
0.4902 0.0888 0.2500
0.6885 0.7484 0.2500
0.1885 0.7516 0.2500
0.6656 0.5519 0.9257
0.1656 0.9481 0.5743
0.3345 0.4481 0.4257
0.6656 0.5519 0.5743
0.8344 0.0519 0.0743
0.5098 0.9112 0.7500
0.9902 0.4112 0.2500
0.8344 0.0519 0.4257
0.2136 0.5122 0.2500
0.7864 0.4878 0.7500
0.7136 0.9878 0.2500
0.2864 0.0122 0.7500
0.8667 0.9232 0.7500
0.0598 0.2878 0.5450
0.4402 0.7878 0.4550
0.0598 0.2878 0.9550
0.9402 0.7122 0.0450
0.5598 0.2122 0.9550
0.4402 0.7878 0.0450
0.6333 0.4232 0.2500
0.9402 0.7122 0.4550
0.3667 0.5768 0.7500
0.1333 0.0768 0.2500
0.5598 0.2122 0.5450
```

Final energy, eV/atom: -10.79
Space group: Pnma, No. 62
M_tot, μB/cell: 0.00

---

Record 9
The following is a DFT calculation (meta-GGA r2SCAN) of a relaxed Eu5Sn3H crystal.

Structure (POSCAR):
```
Eu5Sn3H
1.0
-4.2172 4.2172 7.6198
4.2172 -4.2172 7.6198
4.2172 4.2172 -7.6198
Eu Sn H
10 6 2
Direct
0.5000 0.5000 0.0000
0.8157 0.3157 0.8289
0.1843 0.6843 0.1711
0.4869 0.9869 0.1711
0.0000 0.0000 0.0000
0.6843 0.5131 0.5000
0.5131 0.0131 0.8289
0.0131 0.1843 0.5000
0.3157 0.4869 0.5000
0.9869 0.8157 0.5000
0.6233 0.8767 0.5000
0.7500 0.7500 0.0000
0.3767 0.1233 0.5000
0.2500 0.2500 0.0000
0.8767 0.3767 0.2534
0.1233 0.6233 0.7466
0.7500 0.2500 0.5000
0.2500 0.7500 0.5000
```

Final energy, eV/atom: -30.82
Space group: I4/mcm, No. 140
M_tot, μB/cell: 68.32

---

Record 10
The following is a DFT calculation (meta-GGA r2SCAN) of a relaxed ErSnPt crystal.

Structure (POSCAR):
```
ErSnPt
1.0
5.2670 4.6486 -2.4319
-6.5817 -0.2888 -3.4442
-1.3904 2.8407 2.4187
Er Sn Pt
3 3 3
Direct
0.5950 0.0000 0.5000
0.0000 0.5950 0.5000
0.4050 0.4050 0.5000
0.0000 0.2599 0.0000
0.7401 0.7401 0.0000
0.2599 0.0000 0.0000
0.6667 0.3333 0.0000
0.3333 0.6667 0.0000
0.0000 0.0000 0.5000
```

Final energy, eV/atom: -37.91
Space group: P-62m, No. 189
M_tot, μB/cell: 0.00

---

Record 11
The following is a DFT calculation (meta-GGA r2SCAN) of a relaxed InSn2Cl5 crystal.

Structure (POSCAR):
```
InSn2Cl5
1.0
8.1492 0.0000 0.0000
0.0000 8.9116 -0.0698
0.0000 0.0279 12.7738
Sn Cl In
8 20 4
Direct
0.5320 0.7366 0.4901
0.4680 0.2634 0.5099
0.9680 0.7366 0.9901
0.0370 0.0215 0.6625
0.4630 0.0215 0.1625
0.5370 0.9785 0.8375
0.0320 0.2634 0.0099
0.9630 0.9785 0.3375
0.0352 0.2111 0.5086
0.9648 0.7889 0.4914
0.4648 0.2111 0.0086
0.8345 0.0482 0.9000
0.3237 0.2446 0.2671
0.8436 0.2569 0.1736
0.6666 0.4577 0.4172
0.6655 0.0482 0.4000
0.3436 0.7431 0.3264
0.3345 0.9518 0.6000
0.6564 0.2569 0.6736
0.1564 0.7431 0.8264
0.6763 0.7554 0.7329
0.8237 0.7554 0.2329
0.1655 0.9518 0.1000
0.3334 0.5423 0.5828
0.1666 0.5423 0.0828
0.5352 0.7889 0.9914
0.8334 0.4577 0.9172
0.1763 0.2446 0.7671
0.9575 0.4850 0.6690
0.5425 0.4850 0.1690
0.0425 0.5150 0.3310
0.4575 0.5150 0.8310
```

Final energy, eV/atom: -13.88
Space group: P2_1/c, No. 14
M_tot, μB/cell: 0.00

---

Record 12
The following is a DFT calculation (meta-GGA r2SCAN) of a relaxed Ge9Pd25 crystal.

Structure (POSCAR):
```
Ge9Pd25
1.0
-3.0150 1.0934 6.6790
2.1908 -6.7865 -2.0095
9.6728 1.9228 4.0516
Pd Ge
25 9
Direct
0.0000 0.0000 0.5000
0.3333 0.6667 0.2423
0.6201 0.6933 0.4311
0.9268 0.6201 0.5689
0.3067 0.9268 0.4311
0.3333 0.6667 0.6071
0.0732 0.3799 0.4311
0.3799 0.3067 0.5689
0.7272 0.6564 0.9198
0.9073 0.3261 0.1862
0.4188 0.0927 0.1862
0.6667 0.3333 0.3929
0.0927 0.6739 0.8138
0.5812 0.9073 0.8138
0.2728 0.3436 0.0802
0.0708 0.7272 0.0802
0.6739 0.5812 0.1862
0.6564 0.9292 0.0802
0.6667 0.3333 0.7577
0.0000 0.0000 0.2495
0.0000 0.0000 0.7505
0.3261 0.4188 0.8138
0.9292 0.2728 0.9198
0.3436 0.0708 0.9198
0.6933 0.0732 0.5689
0.3333 0.6667 0.9796
0.0000 0.0000 0.0000
0.3433 0.3358 0.3214
0.3358 0.9926 0.6786
0.6567 0.6642 0.6786
0.6667 0.3333 0.0204
0.6642 0.0074 0.3214
0.9926 0.6567 0.3214
0.0074 0.3433 0.6786
```

Final energy, eV/atom: -20.99
Space group: P-3, No. 147
M_tot, μB/cell: 0.00